## TiCo3B2O8 (PBE+U)

Data for TiCo3B2O8 after structural relaxation.

Output
Electronic total energy: -7.435 eV/atom

Cell lengths 3.1447, 9.5263, 9.3829 Å; angles 90.00, 90.00, 90.00 degrees
With the nearest neighbours (Å) after each atom.
Space group Pmc2_1 (No. 26)
Inequivalent atoms, fractional coordinates:
Ti 0.0000 0.1850 0.0000 x2  3 O 1.82-1.92
Co 0.0000 0.4352 0.4948 x2  6 O 2.05-2.18
Co 0.5000 0.0671 0.2869 x2  6 O 2.02-2.20
Co 0.5000 0.3205 0.7670 x2  6 O 2.05-2.21
B 0.0000 0.1226 0.5580 x2  3 O 1.37-1.42
B 0.5000 0.3796 0.2222 x2  3 O 1.35-1.44
O 0.0000 0.0052 0.1357 x2  1 B 1.42
O 0.0000 0.1162 0.4124 x2  1 B 1.37
O 0.0000 0.2508 0.6285 x2  1 B 1.39
O 0.0000 0.3570 0.9146 x2  1 Ti 1.82
O 0.5000 0.1273 0.8977 x2  2 Ti 1.92, 1 Co 2.12
O 0.5000 0.2475 0.1478 x2  1 B 1.44
O 0.5000 0.3792 0.3665 x2  1 B 1.35
O 0.5000 0.4983 0.6431 x2  1 B 1.38

---

## VCo2BO5 (PBE+U)

Data for VCo2BO5 after structural relaxation.

Output
Electronic total energy: -7.239 eV/atom

Cell lengths 9.4215, 12.4000, 3.0761 Å; angles 90.00, 90.00, 90.00 degrees
With the nearest neighbours (Å) after each atom.
Space group Pbam (No. 55)
Inequivalent atoms, fractional coordinates:
V 0.2417 0.1136 0.0000 x4  6 O 2.01-2.12
Co 0.0000 0.0000 0.5000 x2  6 O 2.05-2.16
Co 0.0000 0.5000 0.0000 x2  6 O 2.10-2.13
Co 0.0017 0.2805 0.5000 x4  6 O 1.99-2.19
B 0.2261 0.8607 0.0000 x4  3 O 1.39
O 0.1097 0.1423 0.5000 x4  2 Co 1.99-2.05, 2 V 2.01
O 0.1171 0.5783 0.5000 x4  3 Co 2.08-2.13, 2 V 2.08
O 0.1262 0.3601 0.0000 x4  1 B 1.39
O 0.1513 0.9573 0.0000 x4  1 B 1.39
O 0.1526 0.7638 0.0000 x4  1 B 1.39

---

## ZrCo3B2O8 (PBE+U)

Data for ZrCo3B2O8 after structural relaxation.

Output
Electronic total energy: -7.388 eV/atom

Cell lengths 3.3317, 9.3753, 9.5627 Å; angles 90.00, 90.00, 90.00 degrees
With the nearest neighbours (Å) after each atom.
Space group Pmc2_1 (No. 26)
Inequivalent atoms, fractional coordinates:
Zr 0.0000 0.1646 0.0000 x2  4 O 2.04-2.21
Co 0.0000 0.4405 0.5010 x2  6 O 2.03-2.27
Co 0.5000 0.0776 0.6944 x2  6 O 2.08-2.25
Co 0.5000 0.3330 0.2247 x2  4 O 2.02-2.15
B 0.0000 0.1222 0.4200 x2  3 O 1.36-1.42
B 0.5000 0.3736 0.7729 x2  3 O 1.36-1.44
O 0.0000 0.0006 0.8336 x2  1 B 1.42
O 0.0000 0.0838 0.5615 x2  1 B 1.40
O 0.0000 0.2584 0.3720 x2  1 B 1.36
O 0.0000 0.3626 0.0897 x2  3 Co 2.03-2.13, 1 Zr 2.04
O 0.5000 0.1302 0.1196 x2  2 Zr 2.05, 2 Co 2.08-2.15
O 0.5000 0.2391 0.8464 x2  1 B 1.44
O 0.5000 0.3700 0.6305 x2  1 B 1.36
O 0.5000 0.4960 0.8530 x2  1 B 1.38

---

## Cr3B7IO13 (PBE+U)

Data for Cr3B7IO13 after structural relaxation.

Output
Electronic total energy: -7.838 eV/atom

Cell lengths 12.3410, 12.3410, 12.3410 Å; angles 90.00, 90.00, 90.00 degrees
With the nearest neighbours (Å) after each atom.
Space group F-43c (No. 219)
Inequivalent atoms, fractional coordinates:
Cr 0.0000 0.0000 0.2500 x24  4 O 2.12
B 0.0000 0.2500 0.2500 x24  4 O 1.48
B 0.1703 0.1703 0.3297 x32  3 O 1.45
I 0.0000 0.0000 0.0000 x8  6 Cr 3.09
O 0.0703 0.1550 0.2704 x96  2 B 1.45-1.48
O 0.2500 0.2500 0.2500 x8  4 B 1.70

---

## Li3CrB2O6 (PBE+U)

Data for Li3CrB2O6 after structural relaxation.

Output
Electronic total energy: -6.951 eV/atom

Cell lengths 9.0996, 6.0396, 9.4358 Å; angles 90.00, 115.15, 90.00 degrees
With the nearest neighbours (Å) after each atom.
Space group P2_1/c (No. 14)
Inequivalent atoms, fractional coordinates:
Li 0.1205 0.2486 0.4864 x4  4 O 1.88-2.06
Li 0.2132 0.5655 0.1851 x4  4 O 1.95-2.17
Li 0.3659 0.7122 0.5727 x4  4 O 1.88-2.10
Cr 0.2674 0.0338 0.2811 x4  6 O 1.97-2.10
B 0.0467 0.6602 0.8145 x4  3 O 1.37-1.41
B 0.4497 0.2145 0.0804 x4  3 O 1.39
O 0.0771 0.6817 0.6829 x4  1 B 1.39
O 0.1008 0.2091 0.6871 x4  1 B 1.37
O 0.1779 0.5666 0.9431 x4  1 B 1.41
O 0.3236 0.1075 0.0986 x4  1 B 1.39
O 0.4018 0.7444 0.7950 x4  1 B 1.39
O 0.4328 0.2312 0.4316 x4  1 B 1.39

---

Number 1: ΔE_f -2309.7 meV per atom. Number 2: ΔE_f -2093.9 meV per atom. Number 3: ΔE_f -2216.7 meV per atom. Number 4: ΔE_f -2561.1 meV per atom. Number 5: ΔE_f -2592.0 meV per atom.